Compound: Ba2LiV2Si4O14
Source: Materials Project
Functional: GGA+U
Structure: relaxed

Lattice parameters (Å, degrees): 5.526 7.277 8.116 91.56 108.57 87.42
Element x y z (fractional)
O 0.872 0.565 0.295
O 0.984 0.744 0.941
O 0.937 0.945 0.298
O 0.384 0.747 0.729
O 0.478 0.961 0.354
O 0.518 0.501 0.993
O 0.018 0.264 0.003
O 0.130 0.431 0.703
O 0.628 0.058 0.740
O 0.133 0.055 0.716
O 0.615 0.430 0.694
O 0.375 0.563 0.278
O 0.504 0.968 0.027
O 0.643 0.255 0.253
Ba 0.824 0.742 0.610
Ba 0.208 0.278 0.399
Si 0.596 0.478 0.202
Si 0.421 0.969 0.816
Si 0.411 0.519 0.786
Si 0.638 0.024 0.232
Li 0.263 0.889 0.473
V 0.911 0.246 0.791
V 0.047 0.720 0.161

Formation energy from the elements = -2.965 eV per atom
E_tot = -7.394 eV per atom

Compound: CrAs2O7
Source: Materials Project
Functional: GGA+U
Structure: relaxed

Lattice parameters (Å, degrees): 9.017 7.058 9.415 73.92 90.00 90.00
Element x y z (fractional)
As 0.700 0.975 0.962
As 0.750 0.585 0.764
As 0.200 0.025 0.538
As 0.800 0.975 0.462
As 0.250 0.415 0.736
As 0.300 0.025 0.038
As 0.750 0.585 0.264
As 0.250 0.415 0.236
O 0.828 0.756 0.599
O 0.756 0.362 0.726
O 0.417 0.019 0.180
O 0.165 0.376 0.093
O 0.917 0.981 0.320
O 0.328 0.244 0.901
O 0.175 0.837 0.454
O 0.054 0.378 0.742
O 0.665 0.624 0.407
O 0.256 0.638 0.774
O 0.825 0.163 0.546
O 0.880 0.014 0.888
O 0.244 0.638 0.274
O 0.120 0.986 0.112
O 0.583 0.981 0.820
O 0.672 0.756 0.099
O 0.083 0.019 0.680
O 0.554 0.622 0.758
O 0.380 0.986 0.612
O 0.675 0.163 0.046
O 0.446 0.378 0.242
O 0.172 0.244 0.401
O 0.946 0.622 0.258
O 0.744 0.362 0.226
O 0.620 0.014 0.388
O 0.335 0.376 0.593
O 0.835 0.624 0.907
O 0.325 0.837 0.954
Cr 0.423 0.805 0.788
Cr 0.077 0.805 0.288
Cr 0.923 0.195 0.712
Cr 0.577 0.195 0.212

Formation energy from the elements = -1.596 eV per atom
E_tot = -6.276 eV per atom

Compound: Sr4La2Mn3Ir3O18
Source: Materials Project
Functional: GGA+U
Structure: relaxed

Lattice parameters (Å, degrees): 5.672 5.672 13.837 90.00 90.00 120.00
Element x y z (fractional)
O 0.836 0.673 0.090
O 0.498 0.502 0.751
O 0.498 0.995 0.751
O 0.840 0.680 0.587
O 0.327 0.164 0.090
O 0.836 0.164 0.090
O 0.005 0.502 0.751
O 0.164 0.327 0.910
O 0.164 0.836 0.910
O 0.502 0.498 0.249
O 0.995 0.498 0.249
O 0.673 0.836 0.910
O 0.840 0.160 0.587
O 0.680 0.840 0.413
O 0.160 0.840 0.413
O 0.320 0.160 0.587
O 0.160 0.320 0.413
O 0.502 0.005 0.249
La 0.000 0.000 0.251
La 0.000 0.000 0.749
Ir 0.000 0.000 0.500
Ir 0.667 0.333 0.165
Ir 0.333 0.667 0.835
Mn 0.333 0.667 0.334
Mn 0.000 0.000 0.000
Mn 0.667 0.333 0.666
Sr 0.667 0.333 0.915
Sr 0.333 0.667 0.584
Sr 0.333 0.667 0.085
Sr 0.667 0.333 0.416

Formation energy from the elements = -2.380 eV per atom
E_tot = -7.124 eV per atom

Compound: MgW4O12
Source: Materials Project
Functional: GGA+U
Structure: relaxed

Lattice parameters (Å, degrees): 5.242 5.495 7.610 89.42 89.82 89.96
Element x y z (fractional)
W 0.003 0.495 0.498
W 0.506 0.990 0.006
W 0.509 0.007 0.498
W 0.999 0.482 0.003
O 0.412 0.999 0.242
O 0.705 0.311 0.460
O 0.098 0.478 0.239
O 0.702 0.294 0.040
O 0.793 0.806 0.461
O 0.194 0.200 0.936
O 0.628 0.015 0.759
O 0.785 0.785 0.048
O 0.195 0.184 0.564
O 0.272 0.733 0.946
O 0.916 0.548 0.759
O 0.276 0.716 0.551
Mg 0.020 0.933 0.739

Formation energy from the elements = -2.240 eV per atom
E_tot = -7.346 eV per atom

Which formula does entry 3 have? Sr4La2Mn3Ir3O18

E_tot of number 2 (CrAs2O7)? -6.276 eV per atom